Here is a geometry-optimized U3Ta structure from the Materials Project database. Energies are from GGA-PBE.

Cell: 5.9507 5.9507 5.4679 Å, 90.00 90.00 120.00°
Positions (direct):
U  0.1773  0.3547  0.2500
U  0.6453  0.8227  0.2500
U  0.1773  0.8227  0.2500
U  0.8227  0.6453  0.7500
U  0.3547  0.1773  0.7500
U  0.8227  0.1773  0.7500
Ta  0.3333  0.6667  0.7500
Ta  0.6667  0.3333  0.2500

Calculated values
Total moment ... 0.1 μB/f.u.



Here is a geometry-optimized Er3RuI3 structure from the Materials Project database. Energies are from GGA-PBE.

Cell: 4.1879 8.8600 12.1757 Å, 94.62 90.00 90.00°
Positions (direct):
Er  0.7500  0.2729  0.6069
Er  0.2500  0.7271  0.3931
Er  0.7500  0.8810  0.6241
Er  0.2500  0.1190  0.3759
Er  0.7500  0.8890  0.1845
Er  0.2500  0.1110  0.8155
Ru  0.7500  0.9330  0.4052
Ru  0.2500  0.0670  0.5948
I  0.7500  0.4157  0.3658
I  0.2500  0.5843  0.6342
I  0.7500  0.8666  0.8883
I  0.2500  0.1334  0.1117
I  0.7500  0.3621  0.8722
I  0.2500  0.6379  0.1278

Calculated values
Corrected total energy (MP2020 scheme) ... -5.093 eV/atom



Here is a geometry-optimized PaO2 structure from the Materials Project database. Energies are from GGA-PBE.

Cell: 5.1917 5.1917 3.6425 Å, 90.00 90.00 90.00°
Positions (direct):
Pa  0.0000  0.0000  0.0000
Pa  0.5000  0.5000  0.5000
O  0.3086  0.3086  0.0000
O  0.6914  0.6914  0.0000
O  0.1914  0.8086  0.5000
O  0.8086  0.1914  0.5000

Calculated values
Total moment ... 1.0 μB/f.u.
Corrected total energy (MP2020 scheme) ... -10.318 eV/atom



Here is a geometry-optimized PaP3 structure from the Materials Project database. Energies are from GGA-PBE.

Cell: 5.5577 5.5577 5.4620 Å, 90.00 90.00 120.00°
Positions (direct):
Pa  0.3333  0.6667  0.7500
Pa  0.6667  0.3333  0.2500
P  0.1899  0.3798  0.2500
P  0.6202  0.8101  0.2500
P  0.1899  0.8101  0.2500
P  0.8101  0.6202  0.7500
P  0.3798  0.1899  0.7500
P  0.8101  0.1899  0.7500

Calculated values
Total moment ... 0.0 μB/f.u.



Here is a geometry-optimized Na6Cd7S10 structure from the Materials Project database. Energies are from GGA-PBE.

Cell: 13.5199 13.5199 10.5053 Å, 72.33 72.33 17.98°
Positions (direct):
Na  0.7078  0.7078  0.3974
Na  0.2985  0.2985  0.5783
Na  0.1211  0.1211  0.2570
Na  0.8877  0.8877  0.7293
Na  0.9905  0.9905  0.1952
Na  0.0082  0.0082  0.8059
Cd  0.5584  0.5584  0.5251
Cd  0.4422  0.4422  0.4741
Cd  0.8403  0.8403  0.2791
Cd  0.1574  0.1574  0.7240
Cd  0.7512  0.7512  0.9109
Cd  0.6092  0.6092  0.0358
Cd  0.3826  0.3826  0.9714
S  0.5350  0.5350  0.3006
S  0.4652  0.4652  0.7009
S  0.8890  0.8890  0.4639
S  0.1135  0.1135  0.5333
S  0.6830  0.6830  0.1331
S  0.3143  0.3143  0.8488
S  0.2853  0.2853  0.3241
S  0.7155  0.7155  0.6992
S  0.9155  0.9155  0.0511
S  0.0798  0.0798  0.9445

Calculated values
Total moment ... 0.0 μB/f.u.
Corrected total energy (MP2020 scheme) ... -3.432 eV/atom



Here is a geometry-optimized K2CuSbF6 structure from the Materials Project database. Energies are from GGA-PBE.

Cell: 6.2444 6.2444 6.2444 Å, 60.00 60.00 60.00°
Positions (direct):
K  0.2500  0.2500  0.2500
K  0.7500  0.7500  0.7500
Cu  0.5000  0.5000  0.5000
Sb  0.0000  0.0000  0.0000
F  0.2504  0.7496  0.2504
F  0.7496  0.7496  0.2504
F  0.7496  0.2504  0.7496
F  0.7496  0.2504  0.2504
F  0.2504  0.7496  0.7496
F  0.2504  0.2504  0.7496

Calculated values
Total moment ... 0.0 μB/f.u.
Corrected total energy (MP2020 scheme) ... -4.661 eV/atom



Listing E_form for the structures above in their given order: 0.360; -1.158; -3.848; -0.699; -1.007; -2.467 eV per atom.